A plane-wave DFT calculation with PBE-GGA was carried out for a geometry-optimized Mg5Si6 structure.

Structure (extended XYZ):
```
22
Lattice="16.677 -2.033 0.000 16.677 2.033 0.000 -0.979 0.000 5.783" Properties=species:S:1:pos:R:3 pbc="T T T"
Mg 0.000 0.000 0.000
Mg -0.346 0.000 2.929
Mg 5.134 0.000 5.207
Mg 11.468 0.000 1.640
Mg 14.288 0.000 4.048
Mg 20.823 0.000 0.601
Mg 20.677 0.000 3.445
Mg 23.939 0.000 1.175
Mg 23.772 0.000 4.042
Mg 30.270 0.000 0.570
Si 2.548 0.000 2.070
Si 2.246 0.000 4.539
Si 5.688 0.000 2.332
Si 8.586 0.000 2.560
Si 9.012 0.000 0.122
Si 11.487 0.000 4.580
Si 15.338 0.000 1.285
Si 17.944 0.000 1.432
Si 17.415 0.000 4.744
Si 26.587 0.000 3.284
Si 26.176 0.000 5.657
Si 29.184 0.000 3.404
```

Calculated values
Polymorph energy (0 for the lowest one) ... 118 meV per atom
Total moment ... 0.0 μB per cell
Uncorrected energy ... -3.542 eV/atom
E_form ... 183.8 meV/atom